1.
Material: Np3Be
Method: DFT, PBE-GGA
State: relaxed

## Properties
For the calculated formation energy, the calculation gives 0.241 eV/atom. For the mass density, the calculation gives 19.16 g/cm³. The total moment is 0.0 Bohr magnetons per cell.

Unit cell a=6.2962 b=6.2962 c=6.2962 alpha=90.00 beta=90.00 gamma=90.00
With the nearest neighbours (Å) after each atom.
Space group Fm-3m (No. 225)
Asymmetric unit:
1 Np 0.0000 0.0000 0.0000  8 Np 2.73
2 Np 0.2500 0.2500 0.2500  4 Be 2.73, 4 Np 2.73
3 Be 0.0000 0.0000 0.5000  8 Np 2.73



2.
Material: Eu2TlCd
Method: DFT, PBE-GGA
State: relaxed

## Properties
For the calculated formation energy, the calculation gives -0.408 eV/atom. For the mass density, the calculation gives 8.23 g/cm³.

Unit cell a=7.9425 b=7.9425 c=7.9425 alpha=90.00 beta=90.00 gamma=90.00
With the nearest neighbours (Å) after each atom.
Space group Fm-3m (No. 225)
Asymmetric unit:
1 Eu 0.2500 0.2500 0.2500  4 Cd 3.44, 4 Tl 3.44
2 Tl 0.0000 0.0000 0.0000  8 Eu 3.44
3 Cd 0.0000 0.0000 0.5000  8 Eu 3.44



3.
Material: ZrFeSb
Method: DFT, PBE-GGA
State: relaxed

## Properties
For the calculated formation energy, the calculation gives -0.505 eV/atom. For the mass density, the calculation gives 7.56 g/cm³. The total moment is 4.0 Bohr magnetons per cell.

Unit cell a=6.1802 b=6.1802 c=6.1802 alpha=90.00 beta=90.00 gamma=90.00
With the nearest neighbours (Å) after each atom.
Space group F-43m (No. 216)
Asymmetric unit:
1 Zr 0.0000 0.0000 0.0000  4 Fe 2.68
2 Fe 0.2500 0.2500 0.7500  4 Zr 2.68, 4 Sb 2.68
3 Sb 0.0000 0.0000 0.5000  4 Fe 2.68



4.
Material: Ce4C2Br5
Method: DFT, PBE-GGA
State: relaxed

## Properties
For the calculated formation energy, the calculation gives -1.543 eV/atom. For the mass density, the calculation gives 5.58 g/cm³. The total moment is 3.3 Bohr magnetons per cell.

Unit cell a=3.9240 b=8.2197 c=18.1585 alpha=90.00 beta=90.00 gamma=90.00
With the nearest neighbours (Å) after each atom.
Space group Immm (No. 71)
Asymmetric unit:
1 Ce 0.0000 0.0000 0.1638  1 C 2.27
2 Ce 0.0000 0.3007 0.5000  4 C 2.65
3 C 0.0000 0.0000 0.0390  1 C 1.42
4 Br 0.0000 0.2223 0.3355  3 Ce 3.01-3.06
5 Br 0.0000 0.5000 0.0000  4 Ce 3.16



| no. | final energy (eV for the cell shown) |
| --- | --- |
| 1 | -166.472 |
| 2 | -101.729 |
| 3 | -89.877 |
| 4 | -129.344 |